[1]
The following is a GGA-PBE calculation of crystalline BaHClO at its relaxed geometry, from Materials Project.

```
data_BaHClO
_chemical_formula_sum 'Ba4 H4 Cl4 O4'
_symmetry_space_group_name_H-M 'P 1'
_symmetry_Int_Tables_number 1
_symmetry_space_group_name_Hall 'P 1'
_cell_length_a 4.463
_cell_length_b 7.481
_cell_length_c 9.382
_cell_angle_alpha 90.00
_cell_angle_beta 90.00
_cell_angle_gamma 90.00
loop_
_atom_site_label
_atom_site_type_symbol
_atom_site_fract_x
_atom_site_fract_y
_atom_site_fract_z
_atom_site_occupancy
Ba1 Ba 0.250 0.191 0.888 1
Ba2 Ba 0.750 0.809 0.112 1
Ba3 Ba 0.250 0.691 0.612 1
Ba4 Ba 0.750 0.309 0.388 1
H1 H 0.750 0.281 0.069 1
H2 H 0.250 0.719 0.931 1
H3 H 0.250 0.219 0.569 1
H4 H 0.750 0.781 0.431 1
Cl1 Cl 0.750 0.020 0.664 1
Cl2 Cl 0.250 0.980 0.336 1
Cl3 Cl 0.250 0.480 0.164 1
Cl4 Cl 0.750 0.520 0.836 1
O1 O 0.750 0.152 0.052 1
O2 O 0.250 0.348 0.552 1
O3 O 0.750 0.652 0.448 1
O4 O 0.250 0.848 0.948 1
```

Output
Formation energy in meV per atom: -2254
Space-group type: Pnma, No. 62
Energy in eV per atom: -5.109


[2]
The following is a GGA-PBE calculation of crystalline Ba2HoCl7 at its relaxed geometry, from Materials Project.

```
data_Ba2HoCl7
_chemical_formula_sum 'Ba8 Ho4 Cl28'
_symmetry_space_group_name_H-M 'P 1'
_symmetry_Int_Tables_number 1
_symmetry_space_group_name_Hall 'P 1'
_cell_length_a 15.709
_cell_length_b 6.903
_cell_length_c 10.631
_cell_angle_alpha 89.32
_cell_angle_beta 90.00
_cell_angle_gamma 90.00
loop_
_atom_site_label
_atom_site_type_symbol
_atom_site_fract_x
_atom_site_fract_y
_atom_site_fract_z
_atom_site_occupancy
Ba1 Ba 0.280 0.235 0.549 1
Ba2 Ba 0.720 0.765 0.451 1
Ba3 Ba 0.780 0.765 0.951 1
Ba4 Ba 0.220 0.235 0.049 1
Ba5 Ba 0.439 0.765 0.824 1
Ba6 Ba 0.561 0.235 0.176 1
Ba7 Ba 0.939 0.235 0.676 1
Ba8 Ba 0.061 0.765 0.324 1
Ho1 Ho 0.127 0.717 0.782 1
Ho2 Ho 0.873 0.283 0.218 1
Ho3 Ho 0.627 0.283 0.718 1
Ho4 Ho 0.373 0.717 0.282 1
Cl1 Cl 0.071 0.372 0.876 1
Cl2 Cl 0.929 0.628 0.124 1
Cl3 Cl 0.571 0.628 0.624 1
Cl4 Cl 0.429 0.372 0.376 1
Cl5 Cl 0.105 0.986 0.587 1
Cl6 Cl 0.895 0.014 0.413 1
Cl7 Cl 0.605 0.014 0.913 1
Cl8 Cl 0.395 0.986 0.087 1
Cl9 Cl 0.961 0.794 0.787 1
Cl10 Cl 0.039 0.206 0.213 1
Cl11 Cl 0.461 0.206 0.713 1
Cl12 Cl 0.539 0.794 0.287 1
Cl13 Cl 0.360 0.790 0.527 1
Cl14 Cl 0.640 0.210 0.473 1
Cl15 Cl 0.860 0.210 0.973 1
Cl16 Cl 0.140 0.790 0.027 1
Cl17 Cl 0.257 0.988 0.802 1
Cl18 Cl 0.743 0.012 0.198 1
Cl19 Cl 0.757 0.012 0.698 1
Cl20 Cl 0.243 0.988 0.302 1
Cl21 Cl 0.272 0.502 0.795 1
Cl22 Cl 0.728 0.498 0.205 1
Cl23 Cl 0.772 0.498 0.705 1
Cl24 Cl 0.228 0.502 0.295 1
Cl25 Cl 0.105 0.500 0.572 1
Cl26 Cl 0.895 0.500 0.428 1
Cl27 Cl 0.605 0.500 0.928 1
Cl28 Cl 0.395 0.500 0.072 1
```

Output
Formation energy in meV per atom: -2869
Space-group type: P2_1/c, No. 14
Energy in eV per atom: -4.575


[3]
The following is a GGA-PBE calculation of crystalline Ba3InS4Cl at its relaxed geometry, from Materials Project.

```
data_Ba3InS4Cl
_chemical_formula_sum 'Ba6 In2 S8 Cl2'
_symmetry_space_group_name_H-M 'P 1'
_symmetry_Int_Tables_number 1
_symmetry_space_group_name_Hall 'P 1'
_cell_length_a 9.438
_cell_length_b 9.438
_cell_length_c 9.438
_cell_angle_alpha 126.63
_cell_angle_beta 126.63
_cell_angle_gamma 78.86
loop_
_atom_site_label
_atom_site_type_symbol
_atom_site_fract_x
_atom_site_fract_y
_atom_site_fract_z
_atom_site_occupancy
Ba1 Ba 0.655 0.155 0.810 1
Ba2 Ba 0.345 0.845 0.190 1
Ba3 Ba 0.155 0.345 0.500 1
Ba4 Ba 0.845 0.655 0.500 1
Ba5 Ba 0.750 0.750 0.000 1
Ba6 Ba 0.250 0.250 0.000 1
In1 In 0.750 0.250 0.500 1
In2 In 0.250 0.750 0.500 1
S1 S 0.015 0.515 0.814 1
S2 S 0.701 0.201 0.186 1
S3 S 0.515 0.701 0.500 1
S4 S 0.201 0.015 0.500 1
S5 S 0.985 0.485 0.186 1
S6 S 0.299 0.799 0.814 1
S7 S 0.485 0.299 0.500 1
S8 S 0.799 0.985 0.500 1
Cl1 Cl 0.000 0.000 0.000 1
Cl2 Cl 0.500 0.500 0.000 1
```

Output
Formation energy in meV per atom: -2051
Space-group type: I4/mcm, No. 140
Energy in eV per atom: -4.748


[4]
The following is a GGA-PBE calculation of crystalline Ba3InSe4Cl at its relaxed geometry, from Materials Project.

```
data_Ba3InSe4Cl
_chemical_formula_sum 'Ba6 In2 Se8 Cl2'
_symmetry_space_group_name_H-M 'P 1'
_symmetry_Int_Tables_number 1
_symmetry_space_group_name_Hall 'P 1'
_cell_length_a 8.710
_cell_length_b 8.710
_cell_length_c 9.839
_cell_angle_alpha 116.27
_cell_angle_beta 116.27
_cell_angle_gamma 90.00
loop_
_atom_site_label
_atom_site_type_symbol
_atom_site_fract_x
_atom_site_fract_y
_atom_site_fract_z
_atom_site_occupancy
Ba1 Ba 0.655 0.155 0.000 1
Ba2 Ba 0.345 0.845 0.000 1
Ba3 Ba 0.845 0.655 0.000 1
Ba4 Ba 0.155 0.345 0.000 1
Ba5 Ba 0.750 0.750 0.500 1
Ba6 Ba 0.250 0.250 0.500 1
In1 In 0.750 0.250 0.500 1
In2 In 0.250 0.750 0.500 1
Se1 Se 0.697 0.197 0.716 1
Se2 Se 0.019 0.519 0.716 1
Se3 Se 0.519 0.697 0.716 1
Se4 Se 0.197 0.019 0.716 1
Se5 Se 0.303 0.803 0.284 1
Se6 Se 0.981 0.481 0.284 1
Se7 Se 0.481 0.303 0.284 1
Se8 Se 0.803 0.981 0.284 1
Cl1 Cl 0.000 0.000 0.000 1
Cl2 Cl 0.500 0.500 0.000 1
```

Output
Formation energy in meV per atom: -1772
Space-group type: I4/mcm, No. 140
Energy in eV per atom: -4.409


Which of these has the lowest formation energy? Ba2HoCl7


Please write out number 4 again, unchanged.
The following is a GGA-PBE calculation of crystalline Ba3InSe4Cl at its relaxed geometry, from Materials Project.

```
data_Ba3InSe4Cl
_chemical_formula_sum 'Ba6 In2 Se8 Cl2'
_symmetry_space_group_name_H-M 'P 1'
_symmetry_Int_Tables_number 1
_symmetry_space_group_name_Hall 'P 1'
_cell_length_a 8.710
_cell_length_b 8.710
_cell_length_c 9.839
_cell_angle_alpha 116.27
_cell_angle_beta 116.27
_cell_angle_gamma 90.00
loop_
_atom_site_label
_atom_site_type_symbol
_atom_site_fract_x
_atom_site_fract_y
_atom_site_fract_z
_atom_site_occupancy
Ba1 Ba 0.655 0.155 0.000 1
Ba2 Ba 0.345 0.845 0.000 1
Ba3 Ba 0.845 0.655 0.000 1
Ba4 Ba 0.155 0.345 0.000 1
Ba5 Ba 0.750 0.750 0.500 1
Ba6 Ba 0.250 0.250 0.500 1
In1 In 0.750 0.250 0.500 1
In2 In 0.250 0.750 0.500 1
Se1 Se 0.697 0.197 0.716 1
Se2 Se 0.019 0.519 0.716 1
Se3 Se 0.519 0.697 0.716 1
Se4 Se 0.197 0.019 0.716 1
Se5 Se 0.303 0.803 0.284 1
Se6 Se 0.981 0.481 0.284 1
Se7 Se 0.481 0.303 0.284 1
Se8 Se 0.803 0.981 0.284 1
Cl1 Cl 0.000 0.000 0.000 1
Cl2 Cl 0.500 0.500 0.000 1
```

Output
Formation energy in meV per atom: -1772
Space-group type: I4/mcm, No. 140
Energy in eV per atom: -4.409